Density functional theory data (GGA+U) for a geometry-optimized NiPt3O6 structure.

Lattice parameters (Å, degrees): 7.1978 9.9841 3.2036 90.00 90.00 90.00
Space group Pbam (No. 55)
Symmetry-distinct sites (fractional):
Ni 0.0000 0.0000 0.0000 x2
Pt 0.0000 0.5000 0.0000 x2
Pt 0.2442 0.2463 0.5000 x4
O 0.0067 0.8541 0.5000 x4
O 0.2045 0.3681 0.0000 x4
O 0.2176 0.6218 0.0000 x4

Uncorrected energy in eV per atom: -5.6841
Energy with MP2020 corrections in eV for the cell shown: -127.008